Density functional theory data (r²SCAN) for MnFe2O4 after structural relaxation.

## Properties
crystal system: triclinic

a b c (Å): 5.8225 5.8589 5.8184
angles (deg): 59.70 59.78 59.61
Closest atoms and distances in Å follow each position.
Element x y z (fractional)
Mn 0.1251 0.1250 0.1253  4 O 1.99
Mn 0.8749 0.8750 0.8747  4 O 1.99
Fe 0.5000 0.5000 0.5000  6 O 1.94-1.95
Fe 0.5000 0.5000 0.0000  6 O 1.95
Fe 0.0000 0.5000 0.5000  6 O 1.94-1.95
Fe 0.5000 0.0000 0.5000  6 O 1.94-1.95
O 0.7352 0.7351 0.7371  3 Fe 1.94-1.95, 1 Mn 1.99
O 0.2653 0.2650 0.7051  3 Fe 1.94-1.95, 1 Mn 1.99
O 0.2647 0.7073 0.2640  3 Fe 1.94-1.95, 1 Mn 1.99
O 0.7056 0.2633 0.2678  3 Fe 1.94-1.95, 1 Mn 1.99
O 0.7353 0.2927 0.7360  3 Fe 1.94-1.95, 1 Mn 1.99
O 0.2944 0.7367 0.7322  3 Fe 1.94-1.95, 1 Mn 1.99
O 0.2648 0.2649 0.2629  3 Fe 1.94-1.95, 1 Mn 1.99
O 0.7347 0.7350 0.2949  3 Fe 1.94-1.95, 1 Mn 1.99

***

Density functional theory data (r²SCAN) for Mn2Fe3Si3O12 after structural relaxation.

## Properties
crystal system: cubic

a b c (Å): 10.1291 10.1291 10.1291
angles (deg): 109.47 109.47 109.47
Closest atoms and distances in Å follow each position.
Element x y z (fractional)
Mn 0.0000 0.5000 0.0000  6 O 2.03
Mn 0.5000 0.5000 0.5000  6 O 2.02
Mn 0.0000 0.0000 0.0000  6 O 2.03
Mn 0.0000 0.0000 0.5000  6 O 2.03
Mn 0.0000 0.5000 0.5000  6 O 2.02
Mn 0.5000 0.5000 0.0000  6 O 2.02
Mn 0.5000 0.0000 0.5000  6 O 2.02
Mn 0.5000 0.0000 0.0000  6 O 2.03
Fe 0.1251 0.2501 0.3751  8 O 2.25-2.32
Fe 0.7500 0.1250 0.3751  8 O 2.25-2.32
Fe 0.2500 0.8750 0.6249  8 O 2.25-2.32
Fe 0.3751 0.7500 0.1250  8 O 2.25-2.32
Fe 0.8750 0.6249 0.2500  8 O 2.25-2.32
Fe 0.7499 0.6249 0.8749  8 O 2.25-2.32
Fe 0.6249 0.2500 0.8750  8 O 2.25-2.32
Fe 0.8749 0.7499 0.6249  8 O 2.25-2.32
Fe 0.1250 0.3751 0.7500  8 O 2.25-2.32
Fe 0.6249 0.8749 0.7499  8 O 2.25-2.32
Fe 0.3751 0.1251 0.2501  8 O 2.25-2.32
Fe 0.2501 0.3751 0.1251  8 O 2.25-2.32
Si 0.8750 0.2500 0.1250  4 O 1.64
Si 0.1250 0.7500 0.8750  4 O 1.64
Si 0.7500 0.3750 0.6250  4 O 1.64
Si 0.3750 0.6250 0.7500  4 O 1.64
Si 0.6250 0.3750 0.2500  4 O 1.64
Si 0.6250 0.7500 0.3750  4 O 1.64
Si 0.8750 0.1250 0.7500  4 O 1.64
Si 0.2500 0.6250 0.3750  4 O 1.64
Si 0.2500 0.1250 0.8750  4 O 1.64
Si 0.1250 0.8750 0.2500  4 O 1.64
Si 0.3750 0.2500 0.6250  4 O 1.64
Si 0.7500 0.8750 0.1250  4 O 1.64
O 0.4080 0.1022 0.6250  1 Si 1.64
O 0.5228 0.3978 0.8058  1 Si 1.64
O 0.1022 0.6250 0.4080  1 Si 1.64
O 0.8978 0.3750 0.5920  1 Si 1.64
O 0.2830 0.4772 0.3751  1 Si 1.64
O 0.5920 0.8978 0.3750  1 Si 1.64
O 0.2171 0.5921 0.1943  1 Si 1.64
O 0.0229 0.3058 0.8978  1 Si 1.64
O 0.4772 0.3751 0.2830  1 Si 1.64
O 0.6942 0.1022 0.9771  1 Si 1.64
O 0.3751 0.2830 0.4772  1 Si 1.64
O 0.1251 0.0229 0.2172  1 Si 1.64
O 0.2172 0.1251 0.0229  1 Si 1.64
O 0.8750 0.3979 0.0921  1 Si 1.64
O 0.2830 0.3058 0.9080  1 Si 1.64
O 0.4079 0.8057 0.7829  1 Si 1.64
O 0.3979 0.0921 0.8750  1 Si 1.64
O 0.3058 0.9080 0.2830  1 Si 1.64
O 0.7170 0.5228 0.6249  1 Si 1.64
O 0.8978 0.0229 0.3058  1 Si 1.64
O 0.6250 0.4080 0.1022  1 Si 1.64
O 0.9080 0.2830 0.3058  1 Si 1.64
O 0.0229 0.2172 0.1251  1 Si 1.64
O 0.8749 0.9771 0.7828  1 Si 1.64
O 0.1942 0.4772 0.6022  1 Si 1.64
O 0.8057 0.7829 0.4079  1 Si 1.64
O 0.6249 0.7170 0.5228  1 Si 1.64
O 0.3978 0.8058 0.5228  1 Si 1.64
O 0.0920 0.7170 0.6942  1 Si 1.64
O 0.7170 0.6942 0.0920  1 Si 1.64
O 0.8058 0.5228 0.3978  1 Si 1.64
O 0.9771 0.7828 0.8749  1 Si 1.64
O 0.1022 0.9771 0.6942  1 Si 1.64
O 0.7829 0.4079 0.8057  1 Si 1.64
O 0.5228 0.6249 0.7170  1 Si 1.64
O 0.4772 0.6022 0.1942  1 Si 1.64
O 0.6022 0.1942 0.4772  1 Si 1.64
O 0.3750 0.5920 0.8978  1 Si 1.64
O 0.1943 0.2171 0.5921  1 Si 1.64
O 0.5921 0.1943 0.2171  1 Si 1.64
O 0.7828 0.8749 0.9771  1 Si 1.64
O 0.1250 0.6021 0.9079  1 Si 1.64
O 0.6942 0.0920 0.7170  1 Si 1.64
O 0.6021 0.9079 0.1250  1 Si 1.64
O 0.9079 0.1250 0.6021  1 Si 1.64
O 0.3058 0.8978 0.0229  1 Si 1.64
O 0.0921 0.8750 0.3979  1 Si 1.64
O 0.9771 0.6942 0.1022  1 Si 1.64

***

Density functional theory data (r²SCAN) for MnFeSn4 after structural relaxation.

## Properties
crystal system: tetragonal

a b c (Å): 5.4496 5.4496 5.4496
angles (deg): 104.08 104.08 120.89
Closest atoms and distances in Å follow each position.
Element x y z (fractional)
Mn 0.5000 0.5000 0.0000  2 Fe 2.69, 8 Sn 2.85
Fe 0.0000 0.0000 0.0000  2 Mn 2.69, 8 Sn 2.85
Sn 0.9130 0.4130 0.8259  2 Fe 2.85, 2 Mn 2.85, 3 Sn 3.09-3.15
Sn 0.5870 0.0870 0.1741  2 Mn 2.85, 2 Fe 2.85, 3 Sn 3.09-3.15
Sn 0.0870 0.9130 0.5000  2 Mn 2.85, 2 Fe 2.85, 3 Sn 3.09-3.15
Sn 0.4130 0.5870 0.5000  2 Mn 2.85, 2 Fe 2.85, 3 Sn 3.09-3.15

***

Density functional theory data (r²SCAN) for Zr2MnFe3 after structural relaxation.

## Properties
crystal system: trigonal

a b c (Å): 5.0826 5.0826 5.0826
angles (deg): 58.94 58.94 58.94
Closest atoms and distances in Å follow each position.
Element x y z (fractional)
Zr 0.1246 0.1246 0.1246  3 Mn 2.94, 9 Fe 2.95-2.99, 4 Zr 3.07-3.13
Zr 0.8754 0.8754 0.8754  3 Mn 2.94, 9 Fe 2.95-2.99, 4 Zr 3.07-3.13
Mn 0.5000 0.5000 0.5000  6 Fe 2.54
Fe 0.5000 0.0000 0.5000  4 Fe 2.50, 2 Mn 2.54
Fe 0.0000 0.5000 0.5000  4 Fe 2.50, 2 Mn 2.54
Fe 0.5000 0.5000 0.0000  4 Fe 2.50, 2 Mn 2.54

***

Looking at electronic total energy for the records above, in order, we have -11.234, -10.734, -21.290, -17.449 eV/atom.
Looking at DFT formation energy for the records above, in order, we have -1605.7, -2204.2, 57.3, -211.3 meV per atom.